No. 1
Crystalline Cr2Co21B6 at its relaxed geometry, computed with PBE-GGA.

a b c (Å): 7.3457 7.3457 7.3457
angles (deg): 60.00 60.00 60.00
Positions (direct):
Cr (0.2500, 0.2500, 0.2500)
Cr (0.7500, 0.7500, 0.7500)
Co (0.0000, 0.0000, 0.0000)
Co (0.0000, 0.0000, 0.3387)
Co (0.0000, 0.0000, 0.6613)
Co (0.0000, 0.3387, 0.0000)
Co (0.0000, 0.3387, 0.6613)
Co (0.0000, 0.6613, 0.0000)
Co (0.0000, 0.6613, 0.3387)
Co (0.1385, 0.6205, 0.6205)
Co (0.3387, 0.0000, 0.0000)
Co (0.3387, 0.0000, 0.6613)
Co (0.3387, 0.6613, 0.0000)
Co (0.3795, 0.3795, 0.3795)
Co (0.3795, 0.3795, 0.8615)
Co (0.3795, 0.8615, 0.3795)
Co (0.6205, 0.1385, 0.6205)
Co (0.6205, 0.6205, 0.1385)
Co (0.6205, 0.6205, 0.6205)
Co (0.6613, 0.0000, 0.0000)
Co (0.6613, 0.0000, 0.3387)
Co (0.6613, 0.3387, 0.0000)
Co (0.8615, 0.3795, 0.3795)
B (0.2752, 0.2752, 0.7248)
B (0.2752, 0.7248, 0.2752)
B (0.2752, 0.7248, 0.7248)
B (0.7248, 0.2752, 0.2752)
B (0.7248, 0.2752, 0.7248)
B (0.7248, 0.7248, 0.2752)

## Properties
**ΔE_f**: -0.170 eV per atom
**Magnetic moment**: 19.8 Bohr magnetons per cell
**E_tot**: -7.365 eV per atom

---

No. 2
Crystalline CrCoB at its relaxed geometry, computed with PBE-GGA.

a b c (Å): 5.1064 4.2527 4.0935
angles (deg): 75.42 53.71 50.88
Positions (direct):
Cr (0.1621, 0.8379, 0.1621)
Cr (0.8379, 0.1621, 0.8379)
Co (0.3320, 0.3320, 0.6680)
Co (0.6680, 0.6680, 0.3320)
B (0.2500, 0.2500, 0.2500)
B (0.7500, 0.7500, 0.7500)

## Properties
**ΔE_f**: -0.271 eV per atom
**Magnetic moment**: 1.8 Bohr magnetons per cell
**E_tot**: -8.085 eV per atom

---

No. 3
Crystalline Dy4Co3B6 at its relaxed geometry, computed with PBE-GGA.

a b c (Å): 7.9517 7.9517 7.9517
angles (deg): 38.99 38.99 38.99
Positions (direct):
Dy (0.0883, 0.0883, 0.0883)
Dy (0.2446, 0.2446, 0.2446)
Dy (0.7554, 0.7554, 0.7554)
Dy (0.9117, 0.9117, 0.9117)
Co (0.3864, 0.3864, 0.3864)
Co (0.5000, 0.5000, 0.5000)
Co (0.6136, 0.6136, 0.6136)
B (0.0000, 0.3322, 0.6678)
B (0.0000, 0.6678, 0.3322)
B (0.3322, 0.0000, 0.6678)
B (0.3322, 0.6678, 0.0000)
B (0.6678, 0.0000, 0.3322)
B (0.6678, 0.3322, 0.0000)

## Properties
**ΔE_f**: -0.356 eV per atom
**Magnetic moment**: 0.0 Bohr magnetons per cell
**E_tot**: -6.497 eV per atom

---

No. 4
Crystalline DyCo12B6 at its relaxed geometry, computed with PBE-GGA.

a b c (Å): 5.9516 5.9516 5.9516
angles (deg): 103.99 103.99 103.99
Positions (direct):
Dy (0.0000, 0.0000, 0.0000)
Co (0.1325, 0.5000, 0.8675)
Co (0.1325, 0.8674, 0.5000)
Co (0.1862, 0.4562, 0.4562)
Co (0.4562, 0.1862, 0.4562)
Co (0.4562, 0.4562, 0.1862)
Co (0.5000, 0.1325, 0.8675)
Co (0.5000, 0.8675, 0.1325)
Co (0.5438, 0.5438, 0.8138)
Co (0.5438, 0.8138, 0.5438)
Co (0.8138, 0.5438, 0.5438)
Co (0.8675, 0.1325, 0.5000)
Co (0.8675, 0.5000, 0.1325)
B (0.2322, 0.2322, 0.6762)
B (0.2322, 0.6762, 0.2322)
B (0.3238, 0.7678, 0.7678)
B (0.6762, 0.2322, 0.2322)
B (0.7678, 0.3238, 0.7678)
B (0.7678, 0.7678, 0.3238)

## Properties
**ΔE_f**: -0.349 eV per atom
**Magnetic moment**: 7.0 Bohr magnetons per cell
**E_tot**: -7.190 eV per atom

---

No. 5
Crystalline DyCo4B at its relaxed geometry, computed with PBE-GGA.

a b c (Å): 4.9940 4.9940 6.8282
angles (deg): 90.00 90.00 120.00
Positions (direct):
Dy (0.0000, 0.0000, 0.0000)
Dy (0.0000, 0.0000, 0.5000)
Co (0.0000, 0.5000, 0.2116)
Co (0.0000, 0.5000, 0.7884)
Co (0.3333, 0.6667, 0.5000)
Co (0.5000, 0.0000, 0.2116)
Co (0.5000, 0.0000, 0.7884)
Co (0.5000, 0.5000, 0.2116)
Co (0.5000, 0.5000, 0.7884)
Co (0.6667, 0.3333, 0.5000)
B (0.3333, 0.6667, 0.0000)
B (0.6667, 0.3333, 0.0000)

## Properties
**ΔE_f**: -0.304 eV per atom
**Magnetic moment**: 7.2 Bohr magnetons per cell
**E_tot**: -6.924 eV per atom

---

No. 6
Crystalline DyFe2Co2B at its relaxed geometry, computed with PBE-GGA.

a b c (Å): 5.0679 5.0679 6.8431
angles (deg): 90.04 90.04 59.66
Positions (direct):
Dy (0.0000, 0.0000, 0.0000)
Dy (0.0009, 0.0009, 0.4912)
Fe (0.9997, 0.4997, 0.7805)
Fe (0.3331, 0.3331, 0.4909)
Fe (0.4997, 0.9997, 0.7805)
Fe (0.6688, 0.6688, 0.4907)
Co (0.0006, 0.5008, 0.2047)
Co (0.4998, 0.4998, 0.7810)
Co (0.5008, 0.0006, 0.2047)
Co (0.5008, 0.5008, 0.2062)
B (0.3349, 0.3349, 0.9967)
B (0.6656, 0.6656, 0.9968)

## Properties
**ΔE_f**: -0.294 eV per atom
**Magnetic moment**: 10.9 Bohr magnetons per cell
**E_tot**: -7.368 eV per atom

---

No. 7
Crystalline Dy3Co29Si4B10 at its relaxed geometry, computed with PBE-GGA.

a b c (Å): 11.1334 11.1334 7.8250
angles (deg): 90.00 90.00 90.00
Positions (direct):
Dy (0.0000, 0.0000, 0.0000)
Dy (0.0000, 0.5000, 0.0000)
Dy (0.2500, 0.7500, 0.5000)
Dy (0.5000, 0.0000, 0.0000)
Dy (0.5000, 0.5000, 0.0000)
Dy (0.7500, 0.2500, 0.5000)
Co (0.0222, 0.2500, 0.4740)
Co (0.0757, 0.5885, 0.3359)
Co (0.0757, 0.9115, 0.3359)
Co (0.0855, 0.2500, 0.9710)
Co (0.0885, 0.5757, 0.6641)
Co (0.0885, 0.9243, 0.6641)
Co (0.1344, 0.1344, 0.2498)
Co (0.1344, 0.3656, 0.2498)
Co (0.1398, 0.1398, 0.6989)
Co (0.1398, 0.3602, 0.6989)
Co (0.1397, 0.7500, 0.1112)
Co (0.2500, 0.0222, 0.4740)
Co (0.2500, 0.0855, 0.9710)
Co (0.2500, 0.2500, 0.4672)
Co (0.2500, 0.4145, 0.9710)
Co (0.2500, 0.4778, 0.4740)
Co (0.2500, 0.6397, 0.8888)
Co (0.2500, 0.8603, 0.8888)
Co (0.3602, 0.1398, 0.6989)
Co (0.3602, 0.3602, 0.6989)
Co (0.3603, 0.7500, 0.1112)
Co (0.3656, 0.1344, 0.2498)
Co (0.3656, 0.3656, 0.2498)
Co (0.4115, 0.5757, 0.6641)
Co (0.4115, 0.9243, 0.6641)
Co (0.4145, 0.2500, 0.9710)
Co (0.4243, 0.5885, 0.3359)
Co (0.4243, 0.9115, 0.3359)
Co (0.4778, 0.2500, 0.4740)
Co (0.5222, 0.7500, 0.5260)
Co (0.5757, 0.0885, 0.6641)
Co (0.5757, 0.4115, 0.6641)
Co (0.5855, 0.7500, 0.0290)
Co (0.5885, 0.0757, 0.3359)
Co (0.5885, 0.4243, 0.3359)
Co (0.6344, 0.6344, 0.7502)
Co (0.6344, 0.8656, 0.7502)
Co (0.6397, 0.2500, 0.8888)
Co (0.6398, 0.6398, 0.3011)
Co (0.6398, 0.8602, 0.3011)
Co (0.7500, 0.1397, 0.1112)
Co (0.7500, 0.3603, 0.1112)
Co (0.7500, 0.5222, 0.5260)
Co (0.7500, 0.5855, 0.0290)
Co (0.7500, 0.7500, 0.5328)
Co (0.7500, 0.9145, 0.0290)
Co (0.7500, 0.9778, 0.5260)
Co (0.8603, 0.2500, 0.8888)
Co (0.8602, 0.6398, 0.3011)
Co (0.8602, 0.8602, 0.3011)
Co (0.8656, 0.6344, 0.7502)
Co (0.8656, 0.8656, 0.7502)
Co (0.9115, 0.0757, 0.3359)
Co (0.9115, 0.4243, 0.3359)
Co (0.9145, 0.7500, 0.0290)
Co (0.9243, 0.0885, 0.6641)
Co (0.9243, 0.4115, 0.6641)
Co (0.9778, 0.7500, 0.5260)
Si (0.0680, 0.7500, 0.8248)
Si (0.2500, 0.5680, 0.1752)
Si (0.2500, 0.9320, 0.1752)
Si (0.4320, 0.7500, 0.8248)
Si (0.5680, 0.2500, 0.1752)
Si (0.7500, 0.0680, 0.8248)
Si (0.7500, 0.4320, 0.8248)
Si (0.9320, 0.2500, 0.1752)
B (0.0063, 0.7500, 0.2633)
B (0.0634, 0.0634, 0.4823)
B (0.0634, 0.4366, 0.4823)
B (0.2500, 0.2500, 0.1080)
B (0.2500, 0.2500, 0.8511)
B (0.2500, 0.5063, 0.7367)
B (0.2500, 0.9937, 0.7367)
B (0.4366, 0.0634, 0.4823)
B (0.4366, 0.4366, 0.4823)
B (0.4937, 0.7500, 0.2633)
B (0.5063, 0.2500, 0.7367)
B (0.5634, 0.5634, 0.5177)
B (0.5634, 0.9366, 0.5177)
B (0.7500, 0.0063, 0.2633)
B (0.7500, 0.4937, 0.2633)
B (0.7500, 0.7500, 0.1489)
B (0.7500, 0.7500, 0.8920)
B (0.9366, 0.5634, 0.5177)
B (0.9366, 0.9366, 0.5177)
B (0.9937, 0.2500, 0.7367)

## Properties
**ΔE_f**: -0.422 eV per atom
**Magnetic moment**: 37.0 Bohr magnetons per cell
**E_tot**: -7.128 eV per atom

---

No. 8
Crystalline Er2Co7B3 at its relaxed geometry, computed with PBE-GGA.

a b c (Å): 4.9948 4.9948 12.7842
angles (deg): 90.00 90.00 120.00
Positions (direct):
Er (0.0000, 0.0000, 0.0000)
Er (0.0000, 0.0000, 0.2392)
Er (0.0000, 0.0000, 0.5000)
Er (0.0000, 0.0000, 0.7608)
Co (0.0000, 0.5000, 0.1155)
Co (0.0000, 0.5000, 0.3452)
Co (0.0000, 0.5000, 0.6548)
Co (0.0000, 0.5000, 0.8845)
Co (0.3333, 0.6667, 0.5000)
Co (0.5000, 0.0000, 0.1155)
Co (0.5000, 0.0000, 0.3452)
Co (0.5000, 0.0000, 0.6548)
Co (0.5000, 0.0000, 0.8845)
Co (0.5000, 0.5000, 0.1155)
Co (0.5000, 0.5000, 0.3452)
Co (0.5000, 0.5000, 0.6548)
Co (0.5000, 0.5000, 0.8845)
Co (0.6667, 0.3333, 0.5000)
B (0.3333, 0.6667, 0.0000)
B (0.3333, 0.6667, 0.2316)
B (0.3333, 0.6667, 0.7684)
B (0.6667, 0.3333, 0.0000)
B (0.6667, 0.3333, 0.2316)
B (0.6667, 0.3333, 0.7684)

## Properties
**ΔE_f**: -0.421 eV per atom
**Magnetic moment**: 7.4 Bohr magnetons per cell
**E_tot**: -6.999 eV per atom

---

No. 9
Crystalline ErCo2B2 at its relaxed geometry, computed with PBE-GGA.

a b c (Å): 5.2459 5.2459 5.2459
angles (deg): 140.57 140.57 56.98
Positions (direct):
Er (0.0000, 0.0000, 0.0000)
Co (0.2500, 0.7500, 0.5000)
Co (0.7500, 0.2500, 0.5000)
B (0.3533, 0.3533, 0.0000)
B (0.6467, 0.6467, 0.0000)

## Properties
**ΔE_f**: -0.580 eV per atom
**E_tot**: -7.008 eV per atom

---

No. 10
Crystalline Er4CoB13 at its relaxed geometry, computed with PBE-GGA.

a b c (Å): 7.2760 7.2760 6.8449
angles (deg): 90.00 90.00 90.00
Positions (direct):
Er (0.1816, 0.3151, 0.0000)
Er (0.1849, 0.3184, 0.5000)
Er (0.3151, 0.8184, 0.0000)
Er (0.3184, 0.8151, 0.5000)
Er (0.6816, 0.1849, 0.5000)
Er (0.6849, 0.1816, 0.0000)
Er (0.8151, 0.6816, 0.5000)
Er (0.8184, 0.6849, 0.0000)
Co (0.0000, 0.0000, 0.5000)
Co (0.5000, 0.5000, 0.0000)
B (0.0000, 0.0000, 0.0000)
B (0.0391, 0.8297, 0.2459)
B (0.0391, 0.8297, 0.7541)
B (0.0906, 0.5906, 0.2500)
B (0.0906, 0.5906, 0.7500)
B (0.1703, 0.0391, 0.2459)
B (0.1703, 0.0391, 0.7541)
B (0.3297, 0.5391, 0.2541)
B (0.3297, 0.5391, 0.7459)
B (0.4094, 0.0906, 0.2500)
B (0.4094, 0.0906, 0.7500)
B (0.4609, 0.3297, 0.2541)
B (0.4609, 0.3297, 0.7459)
B (0.5000, 0.5000, 0.5000)
B (0.5391, 0.6703, 0.2541)
B (0.5391, 0.6703, 0.7459)
B (0.5906, 0.9094, 0.2500)
B (0.5906, 0.9094, 0.7500)
B (0.6703, 0.4609, 0.2541)
B (0.6703, 0.4609, 0.7459)
B (0.8297, 0.9609, 0.2459)
B (0.8297, 0.9609, 0.7541)
B (0.9094, 0.4094, 0.2500)
B (0.9094, 0.4094, 0.7500)
B (0.9609, 0.1703, 0.2459)
B (0.9609, 0.1703, 0.7541)

## Properties
**ΔE_f**: -0.504 eV per atom
**Magnetic moment**: 0.0 Bohr magnetons per cell
**E_tot**: -6.738 eV per atom

---

No. 11
Crystalline ErCo3B2 at its relaxed geometry, computed with PBE-GGA.

a b c (Å): 4.9692 4.9692 3.0278
angles (deg): 90.00 90.00 120.00
Positions (direct):
Er (0.0000, 0.0000, 0.0000)
Co (0.0000, 0.5000, 0.5000)
Co (0.5000, 0.0000, 0.5000)
Co (0.5000, 0.5000, 0.5000)
B (0.3333, 0.6667, 0.0000)
B (0.6667, 0.3333, 0.0000)

## Properties
**ΔE_f**: -0.519 eV per atom
**E_tot**: -7.061 eV per atom

---

No. 12
Crystalline Er4Co3B6 at its relaxed geometry, computed with PBE-GGA.

a b c (Å): 7.8741 7.8741 7.8741
angles (deg): 39.32 39.32 39.32
Positions (direct):
Er (0.0889, 0.0889, 0.0889)
Er (0.2449, 0.2449, 0.2449)
Er (0.7551, 0.7551, 0.7551)
Er (0.9111, 0.9111, 0.9111)
Co (0.3882, 0.3882, 0.3882)
Co (0.5000, 0.5000, 0.5000)
Co (0.6118, 0.6118, 0.6118)
B (0.0000, 0.3321, 0.6679)
B (0.0000, 0.6679, 0.3321)
B (0.3321, 0.0000, 0.6679)
B (0.3321, 0.6679, 0.0000)
B (0.6679, 0.0000, 0.3321)
B (0.6679, 0.3321, 0.0000)

## Properties
**ΔE_f**: -0.408 eV per atom
**Magnetic moment**: 3.0 Bohr magnetons per cell
**E_tot**: -6.536 eV per atom

---

No. 13
Crystalline FeCo2B at its relaxed geometry, computed with PBE-GGA.

a b c (Å): 5.2028 6.5716 4.3524
angles (deg): 90.00 90.00 90.00
Positions (direct):
Fe (0.0282, 0.2500, 0.1306)
Fe (0.4718, 0.7500, 0.6306)
Fe (0.5282, 0.2500, 0.3694)
Fe (0.9718, 0.7500, 0.8694)
Co (0.1859, 0.0599, 0.6472)
Co (0.1859, 0.4401, 0.6472)
Co (0.3141, 0.5599, 0.1472)
Co (0.3141, 0.9401, 0.1472)
Co (0.6859, 0.0599, 0.8528)
Co (0.6859, 0.4401, 0.8528)
Co (0.8141, 0.5599, 0.3528)
Co (0.8141, 0.9401, 0.3528)
B (0.1168, 0.7500, 0.4291)
B (0.3832, 0.2500, 0.9291)
B (0.6168, 0.7500, 0.0709)
B (0.8832, 0.2500, 0.5709)

## Properties
**ΔE_f**: -0.203 eV per atom
**Magnetic moment**: 18.0 Bohr magnetons per cell
**E_tot**: -7.544 eV per atom

---

No. 14
Crystalline FeCoB2 at its relaxed geometry, computed with PBE-GGA.

a b c (Å): 3.0097 3.9594 5.2801
angles (deg): 90.00 90.00 90.00
Positions (direct):
Fe (0.0000, 0.1224, 0.0000)
Fe (0.0000, 0.8776, 0.5000)
Co (0.5000, 0.3717, 0.3557)
Co (0.5000, 0.6283, 0.8557)
B (0.0000, 0.3764, 0.6428)
B (0.0000, 0.6236, 0.1428)
B (0.5000, 0.1346, 0.7122)
B (0.5000, 0.8654, 0.2122)

## Properties
**ΔE_f**: -0.371 eV per atom
**Magnetic moment**: 2.1 Bohr magnetons per cell
**E_tot**: -7.605 eV per atom

---

No. 15
Crystalline Fe4CoB2P at its relaxed geometry, computed with PBE-GGA.

a b c (Å): 6.4571 6.4571 6.4571
angles (deg): 131.04 131.04 71.75
Positions (direct):
Fe (0.0285, 0.5285, 0.8377)
Fe (0.1908, 0.0285, 0.5000)
Fe (0.3092, 0.8092, 0.8377)
Fe (0.4715, 0.3092, 0.5000)
Fe (0.5285, 0.6908, 0.5000)
Fe (0.6908, 0.1908, 0.1623)
Fe (0.8092, 0.9715, 0.5000)
Fe (0.9715, 0.4715, 0.1623)
Co (0.0000, 0.0000, 0.0000)
Co (0.5000, 0.5000, 0.0000)
B (0.1213, 0.3787, 0.5000)
B (0.3787, 0.8787, 0.2575)
B (0.6213, 0.1213, 0.7425)
B (0.8787, 0.6213, 0.5000)
P (0.2500, 0.2500, 0.0000)
P (0.7500, 0.7500, 0.0000)

## Properties
**ΔE_f**: -0.381 eV per atom
**Magnetic moment**: 13.1 Bohr magnetons per cell
**E_tot**: -7.851 eV per atom